{"formula": "CaMg6Ti", "functional": "GGA-PBE", "state": "relaxed", "vol_a3_per_atom": 24.2, "magmom_total_mub_per_cell": 3.83, "ef_ev_per_atom": 0.1422, "cell": [[-0.8203, -0.8707, 5.0107], [3.1581, -5.9634, -0.5193], [9.6690, 4.9085, 2.4359]], "species": ["Ca", "Ca", "Mg", "Mg", "Mg", "Mg", "Mg", "Mg", "Mg", "Mg", "Mg", "Mg", "Mg", "Mg", "Ti", "Ti"], "fractional_positions": [[0.5000, 0.5000, 0.3371], [0.5000, 0.0000, 0.8371], [0.5000, 0.7493, 0.0833], [0.5000, 0.2507, 0.0833], [0.0000, 0.7307, 0.9138], [0.0000, 0.2693, 0.9138], [0.0000, 0.5000, 0.1579], [0.0000, 0.5000, 0.6711], [0.5000, 0.2493, 0.5833], [0.5000, 0.7507, 0.5833], [0.0000, 0.2307, 0.4138], [0.0000, 0.7693, 0.4138], [0.0000, 0.0000, 0.6579], [0.0000, 0.0000, 0.1711], [0.5000, 0.5000, 0.8397], [0.5000, 0.0000, 0.3397]]}